DFT (PBE with a Hubbard U) results for BaMo2P3O14 after structural relaxation. Values from VASP.

Results
energy of formation from the pure elements	-2.5741	eV/atom
uncorrected energy	-7.229	eV per atom
SG	Cc (9)

```
&SYSTEM
  ibrav = 0, nat = 40, ntyp = 4
/
ATOMIC_SPECIES
O 16.00 O.upf
Mo 95.94 Mo.upf
P 30.97 P.upf
Ba 137.33 Ba.upf
CELL_PARAMETERS angstrom
4.940 6.709 0.000
-4.940 6.709 0.000
0.000 1.462 8.678
ATOMIC_POSITIONS angstrom
O -0.556 9.639 2.062
Mo -1.453 9.803 5.848
O 2.000 10.607 2.290
P -1.193 10.882 2.667
O 1.713 6.949 5.475
P 1.016 3.185 1.714
O 2.771 6.947 8.104
Mo 1.453 9.072 1.510
O 0.231 4.752 6.320
O -0.725 12.239 2.190
P 1.193 11.613 7.006
O -2.164 4.790 6.771
O -0.927 2.506 6.589
O -1.052 10.893 4.224
P 0.695 7.388 4.392
O 0.927 1.775 2.250
O -2.000 11.338 6.629
O 0.725 12.970 6.529
Ba -4.570 6.710 0.047
Ba 4.570 7.441 4.386
O 2.967 8.423 0.985
P -1.016 3.916 6.053
Mo 1.588 5.946 7.350
O -0.050 6.919 8.031
O -2.771 6.216 3.765
O -1.713 6.218 1.136
O 1.357 3.116 0.201
O -1.555 8.852 7.652
Mo -1.588 5.215 3.011
O 0.050 6.188 3.692
O 0.397 7.556 0.659
O 0.556 10.370 6.400
O 1.052 11.624 8.562
O -2.967 9.154 5.324
O -0.397 8.287 4.998
O 1.555 8.121 3.313
O -1.357 3.847 4.540
P -0.695 6.657 0.053
O -0.231 4.021 1.981
O 2.164 4.059 2.432
```


DFT (PBE with a Hubbard U) results for BaMo2P2O12 after structural relaxation. Values from VASP.

Results
magnetization	0.000	μB per atom
energy of formation from the pure elements	-2.5107	eV/atom
uncorrected energy	-7.167	eV per atom
SG	P2_1/c (14)

```
&SYSTEM
  ibrav = 0, nat = 34, ntyp = 4
/
ATOMIC_SPECIES
O 16.00 O.upf
Mo 95.94 Mo.upf
P 30.97 P.upf
Ba 137.33 Ba.upf
CELL_PARAMETERS angstrom
-6.334 2.638 -2.588
-3.139 -5.076 2.507
-1.829 4.415 8.979
ATOMIC_POSITIONS angstrom
O -8.433 2.086 8.973
O -4.102 2.100 0.286
O -5.820 -0.701 3.531
O -6.082 2.029 7.996
O -4.036 -3.267 5.042
O -5.482 2.678 5.367
Mo -5.983 -1.515 2.006
O -7.977 1.147 6.600
P -3.831 0.667 0.845
O -2.692 1.644 4.862
P -2.297 1.854 6.335
O -3.806 0.287 9.218
O -8.609 0.333 4.037
O -7.495 1.691 -0.319
O -6.680 4.573 6.880
O -2.873 -1.134 4.443
O -4.622 -2.596 2.019
O -5.220 -0.051 0.903
O -2.869 -0.108 -0.074
O -4.652 -0.757 6.870
P -9.004 0.123 2.563
O -7.266 5.245 3.856
Mo -5.318 3.493 6.893
Ba 0.000 0.000 0.000
O -3.325 0.830 2.298
P -7.471 1.311 8.053
O -7.200 -0.123 8.613
O -6.650 2.735 2.029
O -3.331 2.659 7.159
Mo -1.666 0.145 3.521
O -8.429 3.112 4.455
Ba -4.081 3.527 3.196
O -7.971 -0.681 1.739
Mo -9.636 1.833 5.377
```


DFT (PBE with a Hubbard U) results for BaMoSeO6 after structural relaxation. Values from VASP.

Results
magnetization	0.000	μB per atom
energy of formation from the pure elements	-2.1587	eV/atom
uncorrected energy	-6.450	eV per atom
SG	P2_1/c (14)

```
&SYSTEM
  ibrav = 0, nat = 36, ntyp = 4
/
ATOMIC_SPECIES
Se 78.96 Se.upf
Mo 95.94 Mo.upf
O 16.00 O.upf
Ba 137.33 Ba.upf
CELL_PARAMETERS angstrom
10.351 0.000 0.000
0.000 6.375 0.000
0.000 0.720 8.535
ATOMIC_POSITIONS angstrom
Se 9.298 2.455 7.022
Mo 4.354 5.122 2.300
O 6.093 5.415 2.591
Ba 3.194 1.695 0.100
Mo 9.529 1.613 1.967
O 4.258 1.680 5.944
O 6.360 2.863 4.296
Se 1.053 4.640 1.512
Se 4.123 5.000 5.780
O 6.763 6.801 5.753
O 0.918 1.320 1.677
O 4.987 2.975 1.923
O 9.433 5.775 6.858
O 7.647 2.826 2.047
O 0.188 3.335 6.190
O 6.083 1.830 8.017
O 1.587 0.654 7.049
Ba 8.370 5.040 4.168
O 4.268 5.265 0.518
O 9.443 1.470 3.749
O 8.764 6.441 1.486
O 9.166 2.503 0.028
O 7.879 3.186 6.314
O 2.472 3.909 2.220
Se 6.228 2.095 2.755
O 2.704 4.269 6.488
O 3.991 4.232 4.239
Ba 1.981 2.055 4.367
O 1.185 4.592 8.506
O 0.908 5.625 4.785
Ba 7.157 5.400 8.435
O 5.364 4.120 6.612
Mo 5.997 1.973 6.234
O 3.588 0.294 2.782
O 10.163 3.760 2.345
Mo 0.822 5.482 6.568
```


DFT (PBE with a Hubbard U) results for BaSm2Mo4O16 after structural relaxation. Values from VASP.

Results
magnetization	0.000	μB per atom
energy of formation from the pure elements	-2.6262	eV/atom
uncorrected energy	-7.413	eV per atom
SG	C2/c (15)

```
&SYSTEM
  ibrav = 0, nat = 46, ntyp = 4
/
ATOMIC_SPECIES
O 16.00 O.upf
Sm 150.36 Sm.upf
Ba 137.33 Ba.upf
Mo 95.94 Mo.upf
CELL_PARAMETERS angstrom
6.446 2.700 0.000
-6.446 2.700 0.000
0.000 0.443 19.683
ATOMIC_POSITIONS angstrom
O 2.503 1.257 5.671
O 1.055 0.930 13.183
O 3.122 3.975 18.348
Sm -1.910 3.114 19.036
O 4.252 3.711 8.933
O 1.055 5.135 16.341
O -0.590 4.418 11.872
Ba -0.412 3.033 14.762
O -1.796 2.179 6.394
O -1.796 3.443 3.447
O 1.796 2.401 16.236
O -2.503 4.587 14.012
Sm 1.910 2.729 0.646
Sm 1.910 2.893 9.195
O 0.214 4.457 18.980
Mo -3.357 2.786 2.952
O 1.796 3.664 13.288
O -1.918 1.689 12.505
Mo -5.702 2.906 11.635
O -4.252 2.132 10.749
Mo 3.357 3.058 16.731
Mo -3.357 2.836 6.890
Mo 3.357 3.008 12.793
O -3.122 3.754 8.507
O 0.590 4.196 2.031
Mo 5.702 2.685 1.794
O 0.214 1.608 10.544
O -0.590 1.647 17.652
Sm -1.910 2.951 10.487
O -3.122 1.868 1.334
O 0.590 1.426 7.810
O 3.122 2.090 11.175
O -2.503 1.479 15.512
O -0.214 4.236 9.139
O -0.214 1.387 0.703
O 1.918 1.467 2.663
Mo 5.702 2.937 8.047
O -1.918 4.376 17.019
O -1.055 4.914 6.499
O 1.918 4.155 7.178
O -4.252 3.933 18.774
O 2.503 4.365 4.171
O -1.055 0.708 3.342
Ba 0.412 2.811 4.921
O 4.252 1.911 0.908
Mo -5.702 3.159 17.889
```


Copy entry 1 word for word.
DFT (PBE with a Hubbard U) results for BaMo2P3O14 after structural relaxation. Values from VASP.

Results
energy of formation from the pure elements	-2.5741	eV/atom
uncorrected energy	-7.229	eV per atom
SG	Cc (9)

```
&SYSTEM
  ibrav = 0, nat = 40, ntyp = 4
/
ATOMIC_SPECIES
O 16.00 O.upf
Mo 95.94 Mo.upf
P 30.97 P.upf
Ba 137.33 Ba.upf
CELL_PARAMETERS angstrom
4.940 6.709 0.000
-4.940 6.709 0.000
0.000 1.462 8.678
ATOMIC_POSITIONS angstrom
O -0.556 9.639 2.062
Mo -1.453 9.803 5.848
O 2.000 10.607 2.290
P -1.193 10.882 2.667
O 1.713 6.949 5.475
P 1.016 3.185 1.714
O 2.771 6.947 8.104
Mo 1.453 9.072 1.510
O 0.231 4.752 6.320
O -0.725 12.239 2.190
P 1.193 11.613 7.006
O -2.164 4.790 6.771
O -0.927 2.506 6.589
O -1.052 10.893 4.224
P 0.695 7.388 4.392
O 0.927 1.775 2.250
O -2.000 11.338 6.629
O 0.725 12.970 6.529
Ba -4.570 6.710 0.047
Ba 4.570 7.441 4.386
O 2.967 8.423 0.985
P -1.016 3.916 6.053
Mo 1.588 5.946 7.350
O -0.050 6.919 8.031
O -2.771 6.216 3.765
O -1.713 6.218 1.136
O 1.357 3.116 0.201
O -1.555 8.852 7.652
Mo -1.588 5.215 3.011
O 0.050 6.188 3.692
O 0.397 7.556 0.659
O 0.556 10.370 6.400
O 1.052 11.624 8.562
O -2.967 9.154 5.324
O -0.397 8.287 4.998
O 1.555 8.121 3.313
O -1.357 3.847 4.540
P -0.695 6.657 0.053
O -0.231 4.021 1.981
O 2.164 4.059 2.432
```